{"formula": "Mn3AsN", "functional": "GGA-PBE", "state": "relaxed", "m_tot_mub_per_atom": 0.894, "formation_enthalpy_0k_ev_per_atom": -0.180, "space_group": "Pm-3m", "cell": [[-3.123, -2.166, -0.445], [1.876, -2.188, -2.516], [1.169, -2.272, 2.848]], "species": ["Mn", "Mn", "Mn", "As", "N"], "fractional_positions": [[0.000, 0.500, 0.000], [0.500, 0.000, 0.000], [0.000, 0.000, 0.500], [0.500, 0.500, 0.500], [0.000, 0.000, 0.000]]}